DFT (PBE) results for a relaxed Ba3P4O13 crystal.

## Properties
Symmetry = No. 2
Total DFT energy (no corrections) = -0.5332 Ry/atom
Offset from the most stable computed form = 0.0 kJ/mol of atoms
Energy of formation from the pure elements = -3.114 eV/atom

Unit cell a=7.6828 b=8.7762 c=10.7729 alpha=108.10 beta=104.22 gamma=102.52
Atoms (fractional coordinates):
Ba 0.0000 0.0000 0.0000
Ba 0.1369 0.2242 0.7306
Ba 0.3487 0.7699 0.7696
Ba 0.5000 0.0000 0.5000
Ba 0.6513 0.2301 0.2304
Ba 0.8631 0.7758 0.2694
P 0.1623 0.5391 0.3670
P 0.1729 0.2018 0.3631
P 0.3399 0.8160 0.1449
P 0.3474 0.4774 0.1354
P 0.6526 0.5226 0.8646
P 0.6601 0.1840 0.8551
P 0.8271 0.7982 0.6369
P 0.8377 0.4609 0.6330
O 0.0315 0.8871 0.7407
O 0.0396 0.5120 0.7263
O 0.1913 0.4055 0.4370
O 0.1997 0.8315 0.2227
O 0.2032 0.1432 0.4843
O 0.2184 0.3058 0.0304
O 0.2382 0.7116 0.4839
O 0.3035 0.5348 0.2789
O 0.3035 0.6112 0.0699
O 0.3082 0.8777 0.0255
O 0.3227 0.1984 0.2938
O 0.4436 0.5002 0.8191
O 0.4521 0.1043 0.7570
O 0.5479 0.8957 0.2430
O 0.5564 0.4998 0.1809
O 0.6773 0.8016 0.7062
O 0.6918 0.1223 0.9745
O 0.6965 0.3888 0.9301
O 0.6965 0.4652 0.7211
O 0.7618 0.2884 0.5161
O 0.7816 0.6942 0.9696
O 0.7968 0.8568 0.5157
O 0.8003 0.1685 0.7773
O 0.8087 0.5945 0.5630
O 0.9604 0.4880 0.2737
O 0.9685 0.1129 0.2593